# V3O4F2

V3O4F2 after structural relaxation (PBE+U, the Materials Project database).

Total DFT energy (no corrections) in eV/atom: -7.378
Energy relative to the elements in eV per atom: -2.70
M_tot in μB/atom: 0.1111
Energy with MP2020 corrections in eV per atom: -8.352

a = 4.677 Å, b = 5.588 Å, c = 7.765 Å
α = 94.20°, β = 90.64°, γ = 90.32°
Space group P1 (No. 1)
One atom of each set of equivalent atoms:
V: 0.000 0.000 0.000
V: 0.010 0.671 0.692
V: 0.036 0.314 0.345
V: 0.498 0.792 0.379
V: 0.508 0.138 0.686
V: 0.537 0.477 0.037
O: 0.209 0.268 0.112
O: 0.211 0.958 0.792
O: 0.226 0.614 0.463
O: 0.328 0.106 0.452
O: 0.715 0.847 0.585
O: 0.717 0.520 0.267
O: 0.722 0.196 0.912
O: 0.827 0.706 0.937
F: 0.317 0.784 0.134
F: 0.325 0.462 0.793
F: 0.806 0.011 0.246
F: 0.832 0.347 0.590